Computed, not measured: crystalline Na3YSi3O9 at its relaxed geometry at the PBE level of DFT.

a = 15.222 Å, b = 15.312 Å, c = 15.408 Å
α = 90.00°, β = 90.00°, γ = 90.00°
Atoms (fractional coordinates):
Na 0.001 0.042 0.040
Na 0.048 0.503 0.955
Na 0.098 0.651 0.630
Na 0.104 0.128 0.402
Na 0.113 0.843 0.144
Na 0.121 0.918 0.869
Na 0.122 0.407 0.151
Na 0.131 0.123 0.663
Na 0.139 0.880 0.402
Na 0.148 0.373 0.589
Na 0.245 0.241 0.254
Na 0.247 0.696 0.305
Na 0.253 0.304 0.805
Na 0.255 0.759 0.754
Na 0.352 0.627 0.089
Na 0.361 0.120 0.902
Na 0.369 0.877 0.163
Na 0.378 0.593 0.651
Na 0.379 0.082 0.369
Na 0.387 0.157 0.644
Na 0.396 0.872 0.902
Na 0.402 0.349 0.130
Na 0.452 0.497 0.455
Na 0.499 0.958 0.540
Na 0.501 0.458 0.960
Na 0.548 0.997 0.045
Na 0.598 0.849 0.370
Na 0.604 0.372 0.598
Na 0.613 0.657 0.856
Na 0.621 0.582 0.131
Na 0.622 0.093 0.849
Na 0.631 0.377 0.337
Na 0.639 0.620 0.598
Na 0.648 0.127 0.411
Na 0.745 0.259 0.746
Na 0.747 0.804 0.695
Na 0.753 0.196 0.195
Na 0.755 0.741 0.246
Na 0.852 0.873 0.911
Na 0.861 0.380 0.098
Na 0.869 0.623 0.837
Na 0.878 0.907 0.349
Na 0.879 0.418 0.631
Na 0.887 0.343 0.356
Na 0.896 0.628 0.098
Na 0.902 0.151 0.870
Na 0.952 0.003 0.545
Na 0.999 0.542 0.460
Y 0.109 0.363 0.371
Y 0.116 0.875 0.628
Y 0.129 0.135 0.884
Y 0.136 0.621 0.122
Y 0.364 0.379 0.622
Y 0.371 0.865 0.384
Y 0.384 0.125 0.128
Y 0.391 0.637 0.871
Y 0.609 0.137 0.629
Y 0.616 0.625 0.372
Y 0.629 0.365 0.116
Y 0.636 0.879 0.878
Y 0.864 0.121 0.378
Y 0.871 0.635 0.616
Y 0.884 0.375 0.872
Y 0.891 0.863 0.129
Si 0.005 0.717 0.283
Si 0.026 0.024 0.243
Si 0.027 0.747 0.966
Si 0.028 0.282 0.727
Si 0.028 0.491 0.737
Si 0.029 0.276 0.027
Si 0.227 0.503 0.773
Si 0.227 0.778 0.980
Si 0.228 0.001 0.239
Si 0.234 0.983 0.033
Si 0.238 0.278 0.022
Si 0.242 0.526 0.471
Si 0.258 0.474 0.971
Si 0.262 0.722 0.522
Si 0.266 0.017 0.533
Si 0.272 0.999 0.739
Si 0.273 0.222 0.480
Si 0.273 0.497 0.273
Si 0.471 0.724 0.527
Si 0.472 0.509 0.237
Si 0.472 0.718 0.227
Si 0.473 0.253 0.466
Si 0.474 0.976 0.743
Si 0.495 0.283 0.783
Si 0.505 0.783 0.717
Si 0.526 0.476 0.757
Si 0.527 0.753 0.034
Si 0.528 0.009 0.263
Si 0.528 0.218 0.273
Si 0.529 0.224 0.973
Si 0.727 0.722 0.020
Si 0.727 0.997 0.227
Si 0.728 0.499 0.761
Si 0.734 0.517 0.967
Si 0.738 0.222 0.978
Si 0.742 0.974 0.529
Si 0.758 0.026 0.029
Si 0.762 0.778 0.478
Si 0.766 0.483 0.467
Si 0.772 0.501 0.261
Si 0.773 0.003 0.727
Si 0.773 0.278 0.520
Si 0.971 0.776 0.473
Si 0.972 0.782 0.773
Si 0.972 0.991 0.763
Si 0.973 0.247 0.534
Si 0.974 0.524 0.257
Si 0.995 0.217 0.217
O 0.005 0.943 0.179
O 0.014 0.325 0.477
O 0.016 0.115 0.185
O 0.017 0.858 0.520
O 0.018 0.773 0.375
O 0.021 0.042 0.841
O 0.023 0.184 0.974
O 0.028 0.236 0.627
O 0.029 0.990 0.673
O 0.030 0.654 0.016
O 0.032 0.529 0.168
O 0.046 0.387 0.704
O 0.065 0.774 0.723
O 0.076 0.255 0.273
O 0.098 0.719 0.230
O 0.110 0.235 0.774
O 0.126 0.537 0.748
O 0.128 0.780 0.934
O 0.129 0.019 0.281
O 0.134 0.299 0.049
O 0.151 0.023 0.982
O 0.152 0.467 0.468
O 0.174 0.965 0.527
O 0.180 0.514 0.031
O 0.203 0.258 0.411
O 0.209 0.412 0.272
O 0.210 0.763 0.603
O 0.212 0.962 0.138
O 0.213 0.912 0.740
O 0.214 0.624 0.508
O 0.219 0.457 0.871
O 0.223 0.731 0.073
O 0.230 0.080 0.793
O 0.240 0.221 0.933
O 0.245 0.117 0.492
O 0.245 0.576 0.207
O 0.255 0.424 0.707
O 0.255 0.883 0.992
O 0.260 0.779 0.433
O 0.270 0.920 0.293
O 0.277 0.269 0.573
O 0.281 0.543 0.371
O 0.286 0.376 0.008
O 0.287 0.088 0.240
O 0.288 0.038 0.638
O 0.290 0.237 0.103
O 0.291 0.588 0.772
O 0.297 0.742 0.911
O 0.320 0.486 0.531
O 0.326 0.035 0.027
O 0.348 0.533 0.968
O 0.349 0.977 0.482
O 0.366 0.701 0.549
O 0.371 0.981 0.781
O 0.372 0.220 0.434
O 0.374 0.463 0.248
O 0.390 0.765 0.274
O 0.402 0.281 0.730
O 0.424 0.745 0.773
O 0.435 0.226 0.223
O 0.454 0.613 0.204
O 0.468 0.471 0.668
O 0.470 0.346 0.516
O 0.471 0.010 0.173
O 0.472 0.764 0.127
O 0.477 0.816 0.474
O 0.479 0.958 0.341
O 0.482 0.227 0.875
O 0.483 0.142 0.020
O 0.484 0.885 0.685
O 0.486 0.675 0.977
O 0.495 0.057 0.679
O 0.505 0.557 0.821
O 0.514 0.175 0.523
O 0.516 0.385 0.815
O 0.517 0.642 0.480
O 0.518 0.727 0.625
O 0.521 0.458 0.159
O 0.523 0.316 0.026
O 0.528 0.264 0.373
O 0.529 0.510 0.327
O 0.530 0.846 0.984
O 0.532 0.971 0.832
O 0.546 0.113 0.296
O 0.565 0.726 0.277
O 0.576 0.245 0.727
O 0.598 0.781 0.770
O 0.610 0.265 0.226
O 0.626 0.963 0.252
O 0.628 0.720 0.066
O 0.629 0.481 0.719
O 0.634 0.201 0.951
O 0.651 0.477 0.018
O 0.652 0.033 0.532
O 0.674 0.535 0.473
O 0.680 0.986 0.969
O 0.703 0.242 0.589
O 0.709 0.088 0.728
O 0.710 0.737 0.397
O 0.712 0.538 0.862
O 0.713 0.588 0.260
O 0.714 0.876 0.492
O 0.719 0.043 0.129
O 0.723 0.769 0.927
O 0.730 0.420 0.207
O 0.740 0.279 0.067
O 0.745 0.383 0.508
O 0.745 0.924 0.793
O 0.755 0.076 0.293
O 0.755 0.617 0.008
O 0.760 0.721 0.567
O 0.770 0.580 0.707
O 0.777 0.231 0.427
O 0.781 0.957 0.629
O 0.786 0.124 0.992
O 0.787 0.412 0.760
O 0.788 0.462 0.362
O 0.790 0.263 0.897
O 0.791 0.912 0.228
O 0.797 0.758 0.089
O 0.820 0.014 0.469
O 0.826 0.465 0.973
O 0.848 0.967 0.032
O 0.849 0.523 0.518
O 0.866 0.799 0.451
O 0.871 0.519 0.219
O 0.872 0.280 0.566
O 0.874 0.037 0.752
O 0.890 0.735 0.726
O 0.902 0.219 0.270
O 0.924 0.755 0.227
O 0.935 0.274 0.777
O 0.954 0.887 0.796
O 0.968 0.029 0.332
O 0.970 0.154 0.484
O 0.971 0.490 0.827
O 0.972 0.736 0.873
O 0.977 0.684 0.526
O 0.979 0.542 0.659
O 0.982 0.273 0.125
O 0.983 0.358 0.980
O 0.984 0.615 0.315
O 0.986 0.825 0.023
O 0.995 0.443 0.321

Summary:
energy with MP2020 corrections: -1935.07 eV per cell
formation enthalpy at 0 K: -3106 meV per atom
magnetic moment: 0.0 μB/f.u.
calculated total energy: -7.17 eV/atom